No. 1
A plane-wave DFT calculation with PBE was carried out for crystalline Te2XeO2F10 at its relaxed geometry.

Values from the calculation:
Energy with MP2020 corrections (eV per cell): -257.122
Energy of formation (eV per atom): -1.93
Total magnetization (μB/f.u.): 0.00
Density (kg/m3): 3666

Cell: 9.883 10.718 10.883 Å, 73.03 90.00 90.00°
Atoms (fractional coordinates):
F (0.255, 0.274, 0.186)
F (0.859, 0.921, 0.485)
F (0.237, 0.824, 0.706)
F (0.414, 0.078, 0.773)
F (0.066, 0.292, 0.342)
F (0.184, 0.271, 0.925)
F (0.263, 0.824, 0.206)
F (0.434, 0.292, 0.842)
F (0.934, 0.708, 0.658)
F (0.141, 0.079, 0.515)
F (0.641, 0.921, 0.985)
F (0.783, 0.433, 0.255)
F (0.745, 0.726, 0.814)
F (0.134, 0.784, 0.427)
F (0.086, 0.078, 0.273)
F (0.950, 0.323, 0.748)
F (0.050, 0.677, 0.252)
F (0.283, 0.567, 0.245)
F (0.763, 0.176, 0.294)
F (0.634, 0.216, 0.073)
F (0.316, 0.271, 0.425)
F (0.866, 0.216, 0.573)
F (0.152, 0.526, 0.465)
F (0.348, 0.526, 0.965)
F (0.450, 0.677, 0.752)
F (0.566, 0.708, 0.158)
F (0.737, 0.176, 0.794)
F (0.914, 0.922, 0.727)
F (0.755, 0.726, 0.314)
F (0.359, 0.079, 0.015)
F (0.848, 0.474, 0.535)
F (0.717, 0.433, 0.755)
F (0.586, 0.922, 0.227)
F (0.652, 0.474, 0.035)
F (0.366, 0.784, 0.927)
F (0.816, 0.729, 0.075)
F (0.550, 0.323, 0.248)
F (0.217, 0.567, 0.745)
F (0.684, 0.729, 0.575)
F (0.245, 0.274, 0.686)
Te (0.796, 0.830, 0.650)
Te (0.296, 0.170, 0.850)
Te (0.715, 0.325, 0.160)
Te (0.704, 0.830, 0.150)
Te (0.785, 0.325, 0.660)
Te (0.285, 0.675, 0.840)
Te (0.204, 0.170, 0.350)
Te (0.215, 0.675, 0.340)
Xe (0.000, 0.500, 0.000)
Xe (0.500, 0.000, 0.500)
Xe (0.000, 0.000, 0.000)
Xe (0.500, 0.500, 0.500)
O (0.382, 0.679, 0.426)
O (0.118, 0.679, 0.926)
O (0.618, 0.321, 0.574)
O (0.157, 0.047, 0.852)
O (0.882, 0.321, 0.074)
O (0.343, 0.047, 0.352)
O (0.843, 0.953, 0.148)
O (0.657, 0.953, 0.648)



No. 2
A plane-wave DFT calculation with PBE was carried out for crystalline SrLa4TiAl4O15 at its relaxed geometry.

Values from the calculation:
Energy with MP2020 corrections (eV per cell): -420.911
Energy of formation (eV per atom): -3.68
Energy relative to the lowest polymorph listed for this composition (eV per atom): 0.0000
Total magnetization (μB/f.u.): 0.00
Density (kg/m3): 6100

Cell: 3.847 5.418 27.138 Å, 90.00 90.00 90.00°
Atoms (fractional coordinates):
Al (0.500, 0.250, 0.153)
Al (0.500, 0.250, 0.748)
Al (0.500, 0.750, 0.450)
Al (0.500, 0.250, 0.550)
Al (0.500, 0.750, 0.649)
Al (0.500, 0.250, 0.351)
Al (0.500, 0.750, 0.252)
Al (0.500, 0.750, 0.847)
O (0.500, 0.000, 0.599)
O (0.500, 0.001, 0.797)
O (0.500, 0.500, 0.500)
O (0.500, 0.500, 0.401)
O (0.500, 0.000, 0.000)
O (0.000, 0.250, 0.155)
O (0.500, 0.999, 0.203)
O (0.000, 0.250, 0.946)
O (0.500, 0.000, 0.698)
O (0.000, 0.750, 0.054)
O (0.000, 0.250, 0.550)
O (0.000, 0.750, 0.845)
O (0.500, 0.500, 0.000)
O (0.000, 0.250, 0.351)
O (0.500, 0.001, 0.896)
O (0.500, 0.499, 0.797)
O (0.500, 0.500, 0.698)
O (0.500, 0.000, 0.302)
O (0.000, 0.250, 0.748)
O (0.500, 0.500, 0.302)
O (0.500, 0.501, 0.203)
O (0.500, 0.501, 0.104)
O (0.500, 0.000, 0.401)
O (0.500, 0.000, 0.500)
O (0.500, 0.500, 0.599)
O (0.000, 0.750, 0.649)
O (0.500, 0.499, 0.896)
O (0.000, 0.750, 0.252)
O (0.500, 0.999, 0.104)
O (0.000, 0.750, 0.450)
La (0.000, 0.750, 0.550)
La (0.000, 0.250, 0.846)
La (0.000, 0.750, 0.351)
La (0.000, 0.250, 0.251)
La (0.000, 0.250, 0.450)
La (0.000, 0.750, 0.154)
La (0.000, 0.750, 0.749)
La (0.000, 0.250, 0.649)
Ti (0.500, 0.250, 0.948)
Ti (0.500, 0.750, 0.052)
Sr (0.000, 0.250, 0.053)
Sr (0.000, 0.750, 0.947)



No. 3
A plane-wave DFT calculation with PBE was carried out for crystalline ErSb at its relaxed geometry.

Values from the calculation:
Energy with MP2020 corrections (eV per cell): -11.061
Energy of formation (eV per atom): -1.18
Density (kg/m3): 8217

Cell: 4.355 4.355 4.355 Å, 60.00 60.00 60.00°
Atoms (fractional coordinates):
Er (0.000, 0.000, 0.000)
Sb (0.500, 0.500, 0.500)



No. 4
A plane-wave DFT calculation with PBE was carried out for crystalline CePd2 at its relaxed geometry.

Values from the calculation:
Energy of formation (eV per atom): -0.50
Total magnetization (μB/f.u.): 0.33
Density (kg/m3): 8661

Cell: 5.146 5.146 5.146 Å, 134.76 134.76 65.90°
Atoms (fractional coordinates):
Pd (0.250, 0.750, 0.500)
Pd (0.750, 0.250, 0.500)
Ce (0.000, 0.000, 0.000)



No. 5
A plane-wave DFT calculation with PBE was carried out for crystalline NdNi2Ge2 at its relaxed geometry.

Values from the calculation:
Energy of formation (eV per atom): -0.69
Density (kg/m3): 7968

Cell: 4.144 4.144 5.742 Å, 111.15 111.15 90.00°
Atoms (fractional coordinates):
Nd (0.000, 0.000, 0.000)
Ni (0.750, 0.250, 0.500)
Ni (0.250, 0.750, 0.500)
Ge (0.368, 0.368, 0.737)
Ge (0.632, 0.632, 0.263)



No. 6
A plane-wave DFT calculation with PBE was carried out for crystalline Sn3Ge at its relaxed geometry.

Values from the calculation:
Energy of formation (eV per atom): 0.16
Total magnetization (μB/f.u.): 0.00
Density (kg/m3): 6885

Cell: 5.868 5.868 5.868 Å, 133.83 133.83 67.35°
Atoms (fractional coordinates):
Sn (0.500, 0.500, 0.000)
Sn (0.750, 0.250, 0.500)
Sn (0.250, 0.750, 0.500)
Ge (0.000, 0.000, 0.000)



No. 7
A plane-wave DFT calculation with PBE was carried out for crystalline Te6Mo3WSe2 at its relaxed geometry.

Values from the calculation:
Energy with MP2020 corrections (eV per cell): -75.946
Energy of formation (eV per atom): -0.38
Energy relative to the lowest polymorph listed for this composition (eV per atom): 0.0189
Total magnetization (μB/f.u.): 0.00
Density (kg/m3): 5518

Cell: 3.499 3.499 39.593 Å, 90.00 90.00 120.00°
Atoms (fractional coordinates):
Te (0.333, 0.667, 0.423)
Te (0.000, 0.000, 0.704)
Te (0.000, 0.000, 0.611)
Te (0.000, 0.000, 0.328)
Te (0.000, 0.000, 0.235)
Te (0.333, 0.667, 0.516)
Se (0.333, 0.667, 0.053)
Se (0.333, 0.667, 0.135)
Mo (0.333, 0.667, 0.658)
Mo (0.333, 0.667, 0.282)
Mo (0.000, 0.000, 0.094)
W (0.000, 0.000, 0.470)



No. 8
A plane-wave DFT calculation with PBE was carried out for crystalline CeSe2 at its relaxed geometry.

Values from the calculation:
Energy with MP2020 corrections (eV per cell): -581.132
Energy of formation (eV per atom): -1.39
Total magnetization (μB/f.u.): 0.00
Density (kg/m3): 1746

Cell: 19.432 23.930 23.930 Å, 120.00 90.00 90.00°
Atoms (fractional coordinates):
Se (0.184, 0.271, 0.543)
Se (0.113, 0.830, 0.660)
Se (0.500, 0.000, 0.361)
Se (0.654, 0.500, 0.000)
Se (0.303, 0.711, 0.606)
Se (0.303, 0.606, 0.711)
Se (0.303, 0.105, 0.394)
Se (0.346, 0.000, 0.500)
Se (0.500, 0.639, 0.639)
Se (0.346, 0.500, 0.500)
Se (0.887, 0.340, 0.170)
Se (0.887, 0.170, 0.340)
Se (0.500, 0.361, 0.361)
Se (0.303, 0.289, 0.895)
Se (0.697, 0.711, 0.105)
Se (0.816, 0.457, 0.729)
Se (0.303, 0.289, 0.394)
Se (0.887, 0.170, 0.830)
Se (0.697, 0.105, 0.711)
Se (0.184, 0.729, 0.271)
Se (0.113, 0.170, 0.830)
Se (0.303, 0.394, 0.289)
Se (0.816, 0.729, 0.457)
Se (0.000, 0.813, 0.000)
Se (0.816, 0.543, 0.271)
Se (0.697, 0.394, 0.105)
Se (0.000, 0.187, 0.187)
Se (0.113, 0.170, 0.340)
Se (0.184, 0.729, 0.457)
Se (0.000, 0.813, 0.813)
Se (0.654, 0.500, 0.500)
Se (0.000, 0.187, 0.000)
Se (0.500, 0.639, 0.000)
Se (0.816, 0.729, 0.271)
Se (0.184, 0.543, 0.271)
Se (0.697, 0.895, 0.606)
Se (0.887, 0.660, 0.830)
Se (0.816, 0.271, 0.729)
Se (0.303, 0.105, 0.711)
Se (0.113, 0.340, 0.170)
Se (0.500, 0.000, 0.639)
Se (0.816, 0.271, 0.543)
Se (0.697, 0.289, 0.394)
Se (0.887, 0.830, 0.170)
Se (0.697, 0.289, 0.895)
Se (0.113, 0.830, 0.170)
Se (0.697, 0.606, 0.895)
Se (0.184, 0.457, 0.729)
Se (0.000, 0.000, 0.813)
Se (0.346, 0.500, 0.000)
Se (0.697, 0.105, 0.394)
Se (0.000, 0.667, 0.333)
Se (0.000, 0.333, 0.667)
Se (0.303, 0.711, 0.105)
Se (0.697, 0.895, 0.289)
Se (0.303, 0.895, 0.606)
Se (0.500, 0.361, 0.000)
Se (0.697, 0.606, 0.711)
Se (0.303, 0.394, 0.105)
Se (0.697, 0.711, 0.606)
Se (0.303, 0.895, 0.289)
Se (0.303, 0.606, 0.895)
Se (0.184, 0.271, 0.729)
Se (0.697, 0.394, 0.289)
Se (0.113, 0.660, 0.830)
Se (0.000, 0.000, 0.187)
Se (0.654, 0.000, 0.500)
Se (0.887, 0.830, 0.660)
Ce (0.364, 0.000, 0.613)
Ce (0.000, 0.262, 0.131)
Ce (0.225, 0.791, 0.582)
Ce (0.364, 0.613, 0.000)
Ce (0.775, 0.791, 0.209)
Ce (0.139, 0.333, 0.667)
Ce (0.000, 0.869, 0.738)
Ce (0.000, 0.738, 0.869)
Ce (0.775, 0.209, 0.791)
Ce (0.225, 0.209, 0.791)
Ce (0.775, 0.791, 0.582)
Ce (0.861, 0.333, 0.667)
Ce (0.636, 0.000, 0.613)
Ce (0.000, 0.131, 0.262)
Ce (0.636, 0.613, 0.613)
Ce (0.775, 0.209, 0.418)
Ce (0.364, 0.387, 0.000)
Ce (0.775, 0.418, 0.209)
Ce (0.225, 0.582, 0.791)
Ce (0.364, 0.613, 0.613)
Ce (0.636, 0.000, 0.387)
Ce (0.364, 0.387, 0.387)
Ce (0.636, 0.387, 0.387)
Ce (0.139, 0.667, 0.333)
Ce (0.000, 0.869, 0.131)
Ce (0.775, 0.582, 0.791)
Ce (0.000, 0.131, 0.869)
Ce (0.861, 0.667, 0.333)
Ce (0.225, 0.209, 0.418)
Ce (0.636, 0.613, 0.000)
Ce (0.364, 0.000, 0.387)
Ce (0.225, 0.791, 0.209)
Ce (0.225, 0.418, 0.209)
Ce (0.636, 0.387, 0.000)



No. 9
A plane-wave DFT calculation with PBE was carried out for crystalline FePb2C6N6 at its relaxed geometry.

Values from the calculation:
Energy with MP2020 corrections (eV per cell): -120.497
Energy of formation (eV per atom): 0.05
Total magnetization (μB/f.u.): 0.00
Density (kg/m3): 4048

Cell: 7.145 7.145 5.811 Å, 90.00 90.00 120.00°
Atoms (fractional coordinates):
Pb (0.333, 0.667, 0.563)
Pb (0.667, 0.333, 0.437)
C (0.185, 0.949, 0.185)
C (0.051, 0.236, 0.185)
C (0.815, 0.051, 0.815)
C (0.764, 0.815, 0.185)
C (0.236, 0.185, 0.815)
C (0.949, 0.764, 0.815)
N (0.308, 0.923, 0.299)
N (0.077, 0.384, 0.299)
N (0.616, 0.692, 0.299)
N (0.384, 0.308, 0.701)
N (0.692, 0.077, 0.701)
N (0.923, 0.616, 0.701)
Fe (0.000, 0.000, 0.000)



No. 10
A plane-wave DFT calculation with PBE was carried out for crystalline LaPmRu2 at its relaxed geometry.

Values from the calculation:
Energy of formation (eV per atom): -0.10
Density (kg/m3): 9192

Cell: 4.989 4.989 4.989 Å, 60.00 60.00 60.00°
Atoms (fractional coordinates):
Pm (0.000, 0.000, 0.000)
Ru (0.750, 0.750, 0.750)
Ru (0.250, 0.250, 0.250)
La (0.500, 0.500, 0.500)



No. 11
A plane-wave DFT calculation with PBE was carried out for crystalline Eu2Si at its relaxed geometry.

Values from the calculation:
Energy with MP2020 corrections (eV per cell): -108.926
Energy of formation (eV per atom): -0.43
Density (kg/m3): 6284

Cell: 4.939 7.577 9.379 Å, 90.00 90.00 90.00°
Atoms (fractional coordinates):
Eu (0.250, 0.517, 0.819)
Eu (0.250, 0.017, 0.681)
Eu (0.750, 0.841, 0.921)
Eu (0.750, 0.341, 0.579)
Eu (0.750, 0.483, 0.181)
Eu (0.250, 0.659, 0.421)
Eu (0.750, 0.983, 0.319)
Eu (0.250, 0.159, 0.079)
Si (0.750, 0.253, 0.899)
Si (0.750, 0.753, 0.601)
Si (0.250, 0.247, 0.399)
Si (0.250, 0.747, 0.101)



No. 12
A plane-wave DFT calculation with PBE was carried out for crystalline TbH3 at its relaxed geometry.

Values from the calculation:
Energy with MP2020 corrections (eV per cell): -35.387
Energy of formation (eV per atom): -0.72
Density (kg/m3): 6788

Cell: 3.703 3.703 6.671 Å, 90.00 90.00 120.00°
Atoms (fractional coordinates):
H (0.000, 0.000, 0.750)
H (0.333, 0.667, 0.906)
H (0.333, 0.667, 0.594)
H (0.667, 0.333, 0.094)
H (0.000, 0.000, 0.250)
H (0.667, 0.333, 0.406)
Tb (0.667, 0.333, 0.750)
Tb (0.333, 0.667, 0.250)



What calculated volume values result from the calculations? In sequence: 18.38, 11.31, 29.20, 22.56, 16.96, 25.85, 34.99, 94.48, 17.13, 21.95, 29.25, 9.90 Å³/atom.